An optimized crystal structure of LiNi4P3O12. Source: Materials Project, functional GGA+U. Values from VASP.

Quantum ESPRESSO input file:
```
&SYSTEM
  ibrav = 0, nat = 80, ntyp = 4
/
ATOMIC_SPECIES
Li 6.94 Li.upf
Ni 58.69 Ni.upf
P 30.97 P.upf
O 16.00 O.upf
CELL_PARAMETERS angstrom
7.684 0.000 0.000
0.000 12.994 0.000
0.000 0.000 10.215
ATOMIC_POSITIONS crystal
Li 0.250 0.250 0.225
Li 0.250 0.250 0.725
Li 0.750 0.750 0.275
Li 0.750 0.750 0.775
Ni 0.100 0.661 0.007
Ni 0.100 0.839 0.507
Ni 0.112 0.529 0.298
Ni 0.112 0.971 0.798
Ni 0.388 0.529 0.798
Ni 0.388 0.971 0.298
Ni 0.400 0.661 0.507
Ni 0.400 0.839 0.007
Ni 0.600 0.161 0.993
Ni 0.600 0.339 0.493
Ni 0.612 0.029 0.702
Ni 0.612 0.471 0.202
Ni 0.888 0.029 0.202
Ni 0.888 0.471 0.702
Ni 0.900 0.161 0.493
Ni 0.900 0.339 0.993
P 0.246 0.071 0.071
P 0.246 0.429 0.571
P 0.250 0.750 0.249
P 0.250 0.750 0.749
P 0.254 0.071 0.571
P 0.254 0.429 0.071
P 0.746 0.571 0.929
P 0.746 0.929 0.429
P 0.750 0.250 0.251
P 0.750 0.250 0.751
P 0.754 0.571 0.429
P 0.754 0.929 0.929
O 0.084 0.748 0.164
O 0.084 0.752 0.664
O 0.126 0.087 0.192
O 0.126 0.163 0.577
O 0.126 0.337 0.077
O 0.126 0.413 0.692
O 0.147 0.531 0.101
O 0.147 0.969 0.601
O 0.150 0.063 0.942
O 0.150 0.437 0.442
O 0.248 0.654 0.844
O 0.248 0.846 0.344
O 0.252 0.654 0.344
O 0.252 0.846 0.844
O 0.350 0.063 0.442
O 0.350 0.437 0.942
O 0.353 0.531 0.601
O 0.353 0.969 0.101
O 0.374 0.087 0.692
O 0.374 0.163 0.077
O 0.374 0.337 0.577
O 0.374 0.413 0.192
O 0.416 0.748 0.664
O 0.416 0.752 0.164
O 0.584 0.248 0.836
O 0.584 0.252 0.336
O 0.626 0.587 0.808
O 0.626 0.663 0.423
O 0.626 0.837 0.923
O 0.626 0.913 0.308
O 0.647 0.031 0.899
O 0.647 0.469 0.399
O 0.650 0.563 0.058
O 0.650 0.937 0.558
O 0.748 0.154 0.156
O 0.748 0.346 0.656
O 0.752 0.154 0.656
O 0.752 0.346 0.156
O 0.850 0.563 0.558
O 0.850 0.937 0.058
O 0.853 0.031 0.399
O 0.853 0.469 0.899
O 0.874 0.587 0.308
O 0.874 0.663 0.923
O 0.874 0.837 0.423
O 0.874 0.913 0.808
O 0.916 0.248 0.336
O 0.916 0.252 0.836
```

Output
DFT formation energy (eV/atom): -2.104
Total DFT energy (no corrections) (eV per atom): -6.216
Energy above the most stable polymorph in this dataset (eV per atom): 0.069